P) Material: Li3Fe4B4O12
Method: DFT, GGA+U
State: relaxed

Results
- Total magnetic moment: 17.0 μB per formula unit

```
Li3Fe4B4O12
1.0
5.240 0.000 0.000
-0.002 9.027 0.000
-0.269 -0.052 10.253
Li Fe B O
6 8 8 24
Cartesian
0.000 0.000 0.000
5.105 0.066 5.083
1.603 8.975 2.533
1.491 0.082 7.710
2.466 4.538 4.951
4.107 4.618 7.599
1.495 3.109 7.345
1.653 5.990 2.225
2.487 1.496 4.819
2.416 7.415 9.871
4.185 1.622 2.264
4.093 7.588 7.296
5.070 5.954 4.733
4.967 3.016 9.884
-0.225 6.032 9.883
1.606 3.003 2.183
1.502 6.059 7.261
2.299 1.485 9.820
2.475 7.531 4.688
4.127 1.523 7.325
4.321 7.576 2.193
5.087 3.005 4.802
0.149 6.024 6.936
0.358 2.928 1.575
1.273 6.158 0.262
1.194 3.036 5.177
1.714 8.682 4.586
1.619 2.655 9.487
1.632 0.281 9.771
1.894 6.307 4.336
2.205 4.211 2.416
2.085 7.250 7.699
2.226 1.820 2.577
2.280 4.925 7.125
2.771 1.469 7.007
2.946 7.494 1.933
3.653 1.544 10.162
3.799 7.581 5.107
4.321 4.132 4.847
4.373 7.218 9.519
4.518 1.784 4.407
4.437 4.821 9.583
4.698 2.719 7.772
4.983 8.774 1.996
5.015 6.450 2.607
4.917 0.398 7.167
```

---

Q) Material: Li3Fe4B4O12
Method: DFT, GGA+U
State: relaxed

Results
- Total magnetic moment: 17.0 μB per formula unit

```
Li3Fe4B4O12
1.0
5.242 0.000 0.000
-0.028 9.103 0.000
-2.506 -4.374 10.221
Li Fe B O
6 8 8 24
Cartesian
0.000 0.000 0.000
-1.697 -2.946 7.588
-0.104 0.195 5.081
0.113 0.174 10.122
2.465 4.726 5.052
3.363 6.167 2.417
-0.093 6.272 4.731
0.753 4.539 2.194
0.090 3.196 9.769
0.851 -1.290 7.315
2.469 1.646 4.686
3.344 0.075 2.143
2.717 -1.344 9.833
3.433 3.046 7.257
-1.769 0.108 7.209
-0.101 3.143 4.718
0.772 7.552 2.059
0.030 -2.850 9.772
0.780 4.696 7.216
2.564 -1.398 4.651
3.395 3.121 2.147
2.653 1.688 9.816
-1.959 2.844 9.301
0.043 -0.449 1.868
0.717 4.988 0.036
0.153 6.354 2.526
-1.348 -2.956 9.602
-0.426 0.121 7.031
0.575 4.301 4.245
0.519 1.945 4.712
0.132 5.876 6.877
0.028 3.618 7.653
1.230 -1.302 5.036
2.137 7.509 1.777
0.659 -1.628 9.518
2.657 4.311 2.026
0.777 -3.960 10.149
2.837 1.980 2.621
1.299 1.633 9.926
2.176 4.595 7.092
3.133 6.447 4.530
3.294 -0.249 4.364
2.749 1.278 6.906
2.821 -1.042 7.668
3.817 3.290 5.192
4.737 3.177 1.753
```

---

Which of them is the most stable, and which is the least stable? P) and Q), in that order.

---

P) Material: Li6Mn3VP6O24
Method: DFT, GGA+U
State: relaxed

Results
- Total magnetic moment: 14.0 μB per formula unit

```
Li6Mn3VP6O24
1.0
8.605 0.000 0.000
0.099 8.717 0.000
0.398 0.123 12.359
Li Mn V P O
12 6 2 12 48
Cartesian
0.000 0.000 0.000
0.075 3.384 0.786
1.612 6.818 6.671
1.607 1.563 7.464
2.640 7.512 1.568
3.597 3.292 12.060
4.525 2.511 6.910
4.547 5.872 6.134
5.792 7.730 0.488
5.794 4.347 1.304
7.095 7.041 7.756
7.730 2.676 5.839
3.153 5.492 8.651
2.960 4.722 2.376
3.219 0.472 11.258
7.211 0.416 2.452
7.555 4.864 11.154
7.390 5.472 5.058
3.028 1.029 5.038
7.397 1.172 8.529
0.747 7.370 9.853
1.363 3.044 9.946
1.644 1.577 1.833
1.797 4.136 5.444
4.432 8.503 8.122
4.572 6.034 11.827
4.901 7.293 3.646
5.476 2.894 3.776
6.153 4.284 7.984
6.268 1.848 11.664
8.678 8.615 5.643
8.555 6.099 2.005
0.277 4.336 5.757
0.463 3.652 11.076
0.580 2.035 9.078
1.531 8.368 10.744
1.641 6.768 8.723
1.466 5.891 1.686
1.634 8.524 5.563
1.878 4.089 8.930
2.016 4.199 3.923
2.121 2.678 5.922
1.946 0.494 0.715
2.050 2.973 1.317
2.526 2.386 10.690
2.308 1.134 3.120
2.628 5.199 6.194
3.520 0.806 7.261
3.909 5.552 10.559
3.723 6.636 2.926
4.182 7.453 12.298
4.165 8.701 9.623
4.096 7.019 7.718
3.861 4.855 0.595
4.390 8.331 4.658
4.586 4.201 8.044
4.753 1.667 11.963
4.566 2.319 4.897
4.703 3.933 2.906
5.667 6.258 4.519
5.943 8.694 7.847
5.808 7.886 2.525
6.144 6.103 11.764
5.945 1.844 2.744
6.457 5.310 6.830
6.538 1.689 10.164
6.628 3.321 12.097
6.583 2.854 7.541
6.815 4.801 9.237
6.675 3.547 4.467
6.694 0.677 0.089
7.714 5.044 1.257
7.903 0.370 4.381
8.192 8.080 9.111
8.246 7.229 6.168
8.328 0.995 6.750
8.239 7.566 1.531
8.340 6.045 3.528
8.786 6.327 10.826
8.677 1.644 1.888
```

---

Q) Material: Li6Mn3VP6O24
Method: DFT, GGA+U
State: relaxed

Results
- Total magnetic moment: 14.0 μB per formula unit

```
Li6Mn3VP6O24
1.0
8.602 0.000 0.000
0.000 8.665 0.000
-0.477 0.000 12.475
Li Mn V P O
12 6 2 12 48
Cartesian
0.297 0.000 0.952
1.184 0.768 6.106
1.199 6.056 6.889
2.841 4.133 0.117
2.404 7.494 11.810
3.737 4.897 5.292
4.388 0.564 7.183
5.721 3.162 0.665
5.284 8.465 12.358
6.926 1.723 5.586
6.941 5.101 6.370
7.827 4.333 11.524
-0.297 2.122 8.142
-0.054 2.809 1.755
3.893 2.769 10.618
4.231 7.102 1.858
8.422 6.455 4.333
8.179 7.141 10.720
4.097 2.083 4.498
4.028 6.415 7.978
1.054 3.454 4.843
1.243 5.936 1.156
1.471 4.582 9.402
2.132 0.268 9.288
2.804 7.653 5.018
2.979 1.440 1.347
5.146 5.773 11.128
5.321 3.320 7.458
5.993 4.601 3.187
6.654 0.250 3.073
6.881 1.603 11.319
7.070 7.787 7.632
0.215 2.421 5.615
0.561 6.433 2.410
0.296 5.230 10.130
0.843 4.527 0.676
0.729 4.933 5.293
0.959 6.992 0.015
0.849 3.358 3.320
0.979 3.533 8.380
1.242 7.756 4.949
1.463 1.624 1.041
1.239 0.868 8.159
1.357 7.927 10.172
2.256 5.589 8.526
2.564 3.261 5.154
2.377 3.987 10.532
2.812 5.861 1.240
2.673 1.308 10.277
3.100 6.622 6.166
3.322 8.633 0.899
3.250 1.574 2.851
3.251 0.414 5.488
3.472 7.161 3.765
3.301 8.237 8.537
3.808 2.480 0.564
4.316 6.812 11.912
4.824 3.904 3.938
4.653 2.828 8.710
4.873 4.747 6.987
4.875 5.906 9.624
4.803 4.301 11.576
5.025 2.290 6.309
5.451 5.641 2.199
5.313 1.528 11.235
5.748 8.319 1.943
5.561 7.593 7.321
5.868 1.256 3.949
6.767 3.594 2.303
6.886 5.200 4.316
6.662 5.957 11.434
6.883 3.423 7.526
7.145 7.865 4.095
7.276 7.690 9.155
7.166 2.660 12.460
7.395 0.601 7.182
7.282 0.194 11.799
7.828 0.898 2.345
7.564 2.100 10.066
7.910 6.754 6.860
```

---

Which of them is the most stable, and which is the least stable? Q) and P), in that order.

---

P) Material: Li3Fe5OF11
Method: DFT, GGA+U
State: relaxed

Results
- Total magnetic moment: 20.0 μB per formula unit

```
Li3Fe5OF11
1.0
5.304 0.000 0.000
2.594 5.049 0.000
0.029 2.785 8.794
Li Fe O F
3 5 1 11
Cartesian
0.000 0.000 0.000
0.842 2.111 3.064
3.848 3.849 4.215
2.069 3.449 6.614
2.937 2.823 0.794
4.735 6.072 7.473
5.904 4.431 2.210
6.806 6.690 5.210
3.137 5.510 7.912
2.397 3.421 2.543
1.685 3.400 8.364
3.549 6.082 5.616
4.044 5.190 1.898
2.479 2.779 4.777
6.247 7.127 6.963
5.661 4.566 4.018
4.908 2.114 1.327
4.489 1.595 3.461
5.268 3.883 6.128
6.391 3.963 0.443
```

---

Q) Material: Li3Fe5OF11
Method: DFT, GGA+U
State: relaxed

Results
- Total magnetic moment: 20.0 μB per formula unit

```
Li3Fe5OF11
1.0
5.256 0.000 0.000
2.568 5.075 0.000
0.146 3.021 8.785
Li Fe O F
3 5 1 11
Cartesian
0.000 0.000 0.000
2.644 4.914 6.396
5.231 3.244 2.090
2.579 5.376 3.054
2.593 2.210 0.778
5.366 6.407 4.383
5.365 7.073 7.482
5.464 3.729 5.226
6.833 5.101 4.737
1.848 6.062 7.807
1.762 3.973 1.675
0.820 1.245 1.293
0.986 2.170 3.953
1.190 3.242 7.066
4.184 3.532 0.434
4.475 5.591 6.217
4.473 4.519 3.370
3.621 3.730 8.397
3.636 2.876 5.646
3.708 1.836 2.522
```

---

Which of them is the most stable, and which is the least stable? Q) and P), in that order.

---

P) Material: NaLi2FePCO7
Method: DFT, GGA+U
State: relaxed

Results
- Total magnetic moment: 4.0 μB per formula unit

```
NaLi2FePCO7
1.0
6.574 0.000 0.000
0.118 8.682 0.000
0.053 0.482 10.209
Na Li Fe P C O
4 8 4 4 4 28
Cartesian
0.000 0.000 0.000
0.107 4.796 7.619
1.727 1.580 2.474
1.833 1.827 7.585
0.378 8.710 5.137
3.233 8.450 0.115
3.262 8.704 5.141
3.495 4.678 2.464
3.582 4.971 7.570
4.847 3.540 10.201
4.954 3.239 5.050
6.522 4.692 2.454
1.741 5.245 0.169
1.832 5.434 5.213
5.014 7.977 2.440
5.122 8.243 7.392
1.752 7.389 2.762
1.894 7.625 7.771
5.024 6.304 10.010
5.081 6.006 4.810
1.753 2.818 4.928
1.833 3.127 10.045
4.948 2.214 7.790
4.977 2.019 2.639
0.506 8.198 2.334
0.613 8.372 7.276
1.713 5.926 2.250
1.674 1.517 4.872
1.734 3.434 6.072
1.721 3.236 0.992
1.799 3.860 8.971
1.839 7.374 4.331
1.860 3.535 3.848
1.944 7.624 9.331
1.941 6.176 7.253
1.925 1.831 9.967
2.954 8.176 2.180
3.076 8.464 7.194
3.807 4.922 0.334
3.910 5.166 5.406
4.844 3.457 8.163
4.903 7.246 0.394
4.958 6.373 8.453
4.889 1.107 3.568
4.971 6.028 3.246
4.995 1.878 6.536
5.004 1.281 8.702
4.991 1.658 1.391
5.099 7.476 5.313
5.045 3.274 2.985
6.253 5.059 0.247
6.347 5.218 5.221
```

---

Q) Material: NaLi2FePCO7
Method: DFT, GGA+U
State: relaxed

Results
- Total magnetic moment: 0.0 μB per formula unit

```
NaLi2FePCO7
1.0
3.689 -1.641 3.137
2.164 -9.206 -5.932
6.073 7.599 -4.301
Na Li Fe P C O
4 8 4 4 4 28
Cartesian
2.525 -3.025 -1.933
6.644 -3.828 -7.050
9.403 -0.222 -5.161
5.283 0.581 -0.046
3.517 -2.188 1.338
7.636 -2.990 -3.777
8.407 -1.058 -8.432
4.289 -0.255 -3.316
6.610 4.758 -3.857
4.655 -3.645 -4.675
5.315 -8.005 -3.239
7.271 0.397 -2.422
7.358 3.643 -0.918
6.525 1.511 -5.361
5.405 -4.760 -1.736
4.568 -6.892 -6.178
8.963 2.756 -3.637
7.008 -5.647 -4.454
2.964 -6.003 -3.459
4.919 2.398 -2.643
5.632 -2.105 -1.824
9.750 -2.909 -6.940
6.294 -1.142 -5.272
2.175 -0.339 -0.156
2.199 -1.630 -0.073
6.317 -2.434 -5.190
9.726 -1.617 -7.022
5.608 -0.813 -1.906
6.456 -2.738 -1.043
10.574 -3.542 -6.158
5.471 -0.509 -6.053
1.352 0.295 -0.937
4.807 -2.815 -2.551
8.927 -3.619 -7.668
7.119 -0.433 -4.544
3.000 0.371 0.573
8.947 3.620 -2.324
6.991 -4.782 -3.141
2.980 -6.868 -4.772
4.935 1.534 -3.956
4.165 -4.394 -0.101
8.283 -5.198 -5.218
7.763 1.146 -6.994
3.644 1.948 -1.878
7.694 3.092 -4.483
5.739 -5.310 -5.300
4.233 -6.339 -2.613
6.188 2.062 -1.797
2.952 -4.494 -3.783
4.907 3.907 -2.966
8.975 1.247 -3.313
7.019 -7.156 -4.129
```

---

Which of them is the most stable, and which is the least stable? Q) and P), in that order.